[1]
# TmAgS2 meta-GGA r2SCAN optimized geometry
# magnetic moment = 0.0000 μB/atom
# DFT formation energy = -1.537 eV/atom
data_TmAgS2
_chemical_formula_sum 'Tm8 Ag8 S16'
_cell_length_a 7.535
_cell_length_b 7.537
_cell_length_c 12.304
_cell_angle_alpha 90.00
_cell_angle_beta 90.01
_cell_angle_gamma 90.00
_space_group_name_H-M_alt 'P 1'
_space_group_IT_number 1
loop_
_space_group_symop_operation_xyz
'x,y,z'
loop_
_atom_site_label
_atom_site_type_symbol
_atom_site_fract_x
_atom_site_fract_y
_atom_site_fract_z
_atom_site_occupancy
Tm1 Tm 0.000 0.000 0.247 1
Tm2 Tm 0.000 0.500 0.753 1
Tm3 Tm 0.249 0.750 0.497 1
Tm4 Tm 0.251 0.250 0.997 1
Tm5 Tm 0.500 0.499 0.253 1
Tm6 Tm 0.500 0.999 0.747 1
Tm7 Tm 0.749 0.750 0.003 1
Tm8 Tm 0.751 0.250 0.503 1
Ag1 Ag 0.006 0.011 0.691 1
Ag2 Ag 0.233 0.766 0.942 1
Ag3 Ag 0.266 0.236 0.441 1
Ag4 Ag 0.496 0.991 0.190 1
Ag5 Ag 0.504 0.491 0.810 1
Ag6 Ag 0.734 0.736 0.559 1
Ag7 Ag 0.767 0.266 0.058 1
Ag8 Ag 0.994 0.511 0.309 1
S1 S 0.018 0.018 0.467 1
S2 S 0.018 0.518 0.973 1
S3 S 0.230 0.770 0.717 1
S4 S 0.234 0.733 0.277 1
S5 S 0.266 0.267 0.777 1
S6 S 0.270 0.230 0.217 1
S7 S 0.482 0.482 0.473 1
S8 S 0.482 0.982 0.967 1
S9 S 0.518 0.482 0.033 1
S10 S 0.518 0.982 0.527 1
S11 S 0.730 0.730 0.783 1
S12 S 0.734 0.767 0.223 1
S13 S 0.766 0.233 0.723 1
S14 S 0.770 0.270 0.283 1
S15 S 0.982 0.018 0.027 1
S16 S 0.982 0.518 0.533 1

=====

[2]
# TmAgS2 meta-GGA r2SCAN optimized geometry
# magnetic moment = 0.0000 μB/atom
# DFT formation energy = -1.528 eV/atom
data_TmAgS2
_chemical_formula_sum 'Tm4 Ag4 S8'
_cell_length_a 5.347
_cell_length_b 5.347
_cell_length_c 11.878
_cell_angle_alpha 90.00
_cell_angle_beta 90.00
_cell_angle_gamma 90.00
_space_group_name_H-M_alt 'P 1'
_space_group_IT_number 1
loop_
_space_group_symop_operation_xyz
'x,y,z'
loop_
_atom_site_label
_atom_site_type_symbol
_atom_site_fract_x
_atom_site_fract_y
_atom_site_fract_z
_atom_site_occupancy
Tm1 Tm 0.000 0.000 0.000 1
Tm2 Tm 0.000 0.500 0.250 1
Tm3 Tm 0.500 0.000 0.750 1
Tm4 Tm 0.500 0.500 0.500 1
Ag1 Ag 0.000 0.000 0.462 1
Ag2 Ag 0.000 0.500 0.712 1
Ag3 Ag 0.500 0.000 0.212 1
Ag4 Ag 0.500 0.500 0.962 1
S1 S 0.000 0.000 0.230 1
S2 S 0.000 0.000 0.775 1
S3 S 0.000 0.500 0.025 1
S4 S 0.000 0.500 0.480 1
S5 S 0.500 0.000 0.525 1
S6 S 0.500 0.000 0.980 1
S7 S 0.500 0.500 0.275 1
S8 S 0.500 0.500 0.730 1